[1]
Density functional theory data (PBE-GGA) for a relaxed structure of TaSi10W4.

a = 20.006 Å, b = 20.006 Å, c = 20.006 Å
α = 170.71°, β = 170.71°, γ = 13.15°
Element x y z (fractional)
Si: 0.333 0.333 0.000
Si: 0.667 0.667 0.000
Si: 0.068 0.068 0.000
Si: 0.867 0.867 0.000
Si: 0.267 0.267 0.000
Si: 0.932 0.932 0.000
Si: 0.133 0.133 0.000
Si: 0.534 0.534 0.000
Si: 0.733 0.733 0.000
Si: 0.466 0.466 0.000
W: 0.399 0.399 0.000
W: 0.800 0.800 0.000
W: 0.601 0.601 0.000
W: 0.200 0.200 0.000
Ta: 0.000 0.000 0.000



[2]
Density functional theory data (PBE-GGA) for a relaxed structure of PuAl2Pd5.

a = 4.176 Å, b = 4.176 Å, c = 8.087 Å
α = 104.96°, β = 104.96°, γ = 90.00°
Element x y z (fractional)
Pu: 0.000 0.000 0.000
Pd: 0.354 0.854 0.708
Pd: 0.146 0.646 0.292
Pd: 0.646 0.146 0.292
Pd: 0.854 0.354 0.708
Pd: 0.500 0.500 0.000
Al: 0.252 0.252 0.505
Al: 0.748 0.748 0.495



[3]
Density functional theory data (PBE-GGA) for a relaxed structure of SrEuHfZrO6.

a = 5.891 Å, b = 5.891 Å, c = 5.891 Å
α = 60.00°, β = 60.00°, γ = 60.00°
Element x y z (fractional)
O: 0.752 0.248 0.248
O: 0.248 0.752 0.752
O: 0.248 0.752 0.248
O: 0.752 0.248 0.752
O: 0.248 0.248 0.752
O: 0.752 0.752 0.248
Eu: 0.250 0.250 0.250
Sr: 0.750 0.750 0.750
Hf: 0.000 0.000 0.000
Zr: 0.500 0.500 0.500



[4]
Density functional theory data (PBE-GGA) for a relaxed structure of CoB10H23C13.

a = 8.229 Å, b = 9.236 Å, c = 12.259 Å
α = 98.39°, β = 95.78°, γ = 101.99°
Element x y z (fractional)
C: 0.583 0.112 0.802
C: 0.269 0.089 0.470
C: 0.092 0.084 0.744
C: 0.908 0.916 0.256
C: 0.588 0.947 0.781
C: 0.412 0.053 0.219
C: 0.227 0.269 0.170
C: 0.915 0.766 0.237
C: 0.959 0.287 0.704
C: 0.163 0.962 0.395
C: 0.805 0.784 0.533
C: 0.046 0.258 0.122
C: 0.834 0.192 0.627
C: 0.773 0.731 0.830
C: 0.085 0.234 0.763
C: 0.031 0.016 0.337
C: 0.954 0.742 0.878
C: 0.731 0.911 0.530
C: 0.837 0.038 0.605
C: 0.417 0.888 0.198
C: 0.041 0.713 0.296
C: 0.054 0.174 0.381
C: 0.166 0.808 0.373
C: 0.195 0.216 0.467
C: 0.969 0.984 0.663
C: 0.946 0.826 0.619
H: 0.696 0.477 0.878
H: 0.820 0.686 0.177
H: 0.775 0.545 0.661
H: 0.240 0.325 0.519
H: 0.480 0.854 0.270
H: 0.037 0.262 0.032
H: 0.001 0.647 0.838
H: 0.384 0.881 0.908
H: 0.963 0.738 0.968
H: 0.183 0.007 0.075
H: 0.304 0.523 0.122
H: 0.973 0.246 0.357
H: 0.789 0.372 0.298
H: 0.362 0.889 0.638
H: 0.680 0.762 0.019
H: 0.211 0.628 0.702
H: 0.512 0.132 0.872
H: 0.039 0.593 0.280
H: 0.039 0.846 0.868
H: 0.808 0.956 0.213
H: 0.192 0.044 0.787
H: 0.708 0.186 0.826
H: 0.464 0.621 0.538
H: 0.488 0.868 0.128
H: 0.616 0.119 0.092
H: 0.027 0.754 0.643
H: 0.738 0.235 0.581
H: 0.180 0.314 0.823
H: 0.581 0.602 0.313
H: 0.621 0.914 0.474
H: 0.760 0.675 0.481
H: 0.536 0.379 0.462
H: 0.262 0.765 0.419
H: 0.961 0.407 0.720
H: 0.320 0.238 0.981
H: 0.520 0.146 0.730
H: 0.379 0.086 0.526
H: 0.350 0.564 0.914
H: 0.817 0.993 0.925
H: 0.638 0.111 0.362
H: 0.419 0.398 0.687
H: 0.650 0.436 0.086
H: 0.961 0.154 0.132
H: 0.225 0.455 0.339
H: 0.292 0.814 0.174
H: 0.999 0.353 0.162
B: 0.361 0.430 0.161
B: 0.688 0.615 0.708
B: 0.632 0.738 0.921
B: 0.641 0.337 0.269
B: 0.717 0.898 0.860
B: 0.283 0.102 0.140
B: 0.520 0.473 0.276
B: 0.464 0.817 0.850
B: 0.494 0.339 0.364
B: 0.639 0.570 0.839
B: 0.545 0.165 0.307
B: 0.536 0.183 0.150
B: 0.312 0.385 0.292
B: 0.359 0.663 0.731
B: 0.556 0.380 0.145
B: 0.455 0.835 0.693
B: 0.368 0.262 0.079
B: 0.480 0.527 0.724
B: 0.444 0.620 0.855
B: 0.506 0.661 0.636
Co: 0.274 0.160 0.318
Co: 0.726 0.840 0.682



Number 1: energy of formation -0.35 eV/atom, magnetic moment 0.00 μB/cell. Number 2: energy of formation -0.77 eV/atom, magnetic moment 4.97 μB/cell. Number 3: energy of formation -3.67 eV/atom, magnetic moment 7.00 μB/cell. Number 4: energy of formation -0.07 eV/atom, magnetic moment 0.00 μB/cell.